Computed, not measured: crystalline Na14Al4Ga4Si7S5O48 at its relaxed geometry at the PBE level of DFT. Values from VASP.

Structure (Quantum ESPRESSO input):
```
&SYSTEM
  ibrav = 0, nat = 246, ntyp = 6
/
ATOMIC_SPECIES
Na 22.99 Na.upf
Al 26.98 Al.upf
Ga 69.72 Ga.upf
Si 28.09 Si.upf
S 32.06 S.upf
O 16.00 O.upf
CELL_PARAMETERS angstrom
-12.158 7.865 -10.082
5.708 -5.699 -3.600
-13.874 -16.411 3.738
ATOMIC_POSITIONS crystal
Na 0.814 0.996 0.245
Na 0.185 0.365 0.254
Na 0.686 0.367 0.253
Na 0.999 0.641 0.245
Na 0.499 0.641 0.246
Na 0.313 0.633 0.752
Na 0.998 0.356 0.749
Na 0.501 0.359 0.750
Na 0.184 0.003 0.756
Na 0.687 0.007 0.757
Na 0.146 0.334 0.583
Na 0.648 0.335 0.584
Na 0.336 0.974 0.581
Na 0.837 0.974 0.583
Na 0.146 0.958 0.085
Na 0.652 0.962 0.085
Na 0.337 0.699 0.083
Na 0.836 0.706 0.081
Na 0.485 0.675 0.922
Na 0.981 0.673 0.923
Na 0.348 0.028 0.915
Na 0.845 0.025 0.919
Na 0.169 0.298 0.912
Na 0.671 0.301 0.912
Na 0.483 0.290 0.419
Na 0.983 0.291 0.419
Na 0.169 0.039 0.408
Na 0.669 0.040 0.409
Na 0.346 0.667 0.411
Na 0.847 0.668 0.412
Na 0.999 0.005 0.499
Na 0.499 0.005 0.498
Na 0.994 0.993 0.002
Na 0.501 0.995 0.000
Na 0.328 0.327 0.835
Na 0.826 0.333 0.834
Na 0.326 0.318 0.330
Na 0.828 0.328 0.331
Na 0.166 0.673 0.169
Na 0.666 0.672 0.164
Na 0.161 0.660 0.668
Na 0.668 0.660 0.670
Al 0.996 0.022 0.652
Al 0.500 0.028 0.652
Al 0.993 0.972 0.146
Al 0.498 0.971 0.150
Al 0.837 0.333 0.690
Al 0.336 0.341 0.189
Al 0.162 0.672 0.015
Al 0.672 0.696 0.021
Al 0.161 0.650 0.514
Al 0.663 0.651 0.515
Al 0.185 0.694 0.311
Al 0.687 0.678 0.813
Ga 0.003 0.002 0.349
Ga 0.499 0.001 0.349
Ga 0.998 0.996 0.851
Ga 0.504 0.006 0.852
Ga 0.336 0.326 0.687
Ga 0.835 0.332 0.183
Ga 0.333 0.344 0.981
Ga 0.833 0.333 0.984
Ga 0.331 0.319 0.479
Ga 0.832 0.321 0.481
Ga 0.681 0.684 0.314
Ga 0.179 0.677 0.816
Si 0.147 0.999 0.248
Si 0.646 0.999 0.251
Si 0.354 0.710 0.249
Si 0.856 0.707 0.250
Si 0.146 0.292 0.749
Si 0.650 0.301 0.749
Si 0.356 0.999 0.750
Si 0.854 0.998 0.749
Si 0.482 0.344 0.583
Si 0.980 0.344 0.584
Si 0.480 0.617 0.084
Si 0.983 0.620 0.083
Si 0.839 0.048 0.084
Si 0.312 0.668 0.919
Si 0.810 0.664 0.919
Si 0.167 0.959 0.917
Si 0.666 0.954 0.914
Si 0.309 0.951 0.419
Si 0.812 0.955 0.420
Si 0.167 0.378 0.415
Si 0.666 0.374 0.417
S 0.002 0.291 0.250
S 0.496 0.284 0.247
S 0.996 0.710 0.747
S 0.499 0.714 0.748
S 0.182 0.032 0.584
S 0.684 0.035 0.585
S 0.337 0.628 0.584
S 0.837 0.625 0.584
S 0.337 0.049 0.084
S 0.186 0.335 0.084
S 0.681 0.331 0.084
S 0.025 0.383 0.917
S 0.525 0.383 0.918
S 0.024 0.666 0.417
S 0.523 0.665 0.418
O 0.109 0.048 0.310
O 0.604 0.041 0.312
O 0.416 0.789 0.311
O 0.915 0.789 0.312
O 0.482 0.186 0.307
O 0.984 0.184 0.308
O 0.106 0.166 0.810
O 0.609 0.170 0.809
O 0.482 0.784 0.805
O 0.983 0.780 0.805
O 0.417 0.038 0.810
O 0.918 0.045 0.809
O 0.399 0.960 0.690
O 0.897 0.964 0.688
O 0.086 0.200 0.689
O 0.586 0.208 0.689
O 0.013 0.829 0.695
O 0.514 0.829 0.694
O 0.399 0.833 0.189
O 0.899 0.836 0.192
O 0.016 0.207 0.197
O 0.512 0.198 0.196
O 0.083 0.970 0.189
O 0.585 0.970 0.191
O 0.437 0.370 0.644
O 0.931 0.365 0.644
O 0.239 0.113 0.638
O 0.742 0.122 0.638
O 0.319 0.515 0.638
O 0.820 0.506 0.637
O 0.429 0.496 0.144
O 0.939 0.507 0.145
O 0.319 0.133 0.137
O 0.812 0.125 0.143
O 0.245 0.366 0.138
O 0.738 0.366 0.139
O 0.223 0.295 0.028
O 0.719 0.292 0.029
O 0.416 0.539 0.024
O 0.919 0.541 0.023
O 0.348 0.148 0.026
O 0.851 0.161 0.021
O 0.221 0.149 0.529
O 0.720 0.149 0.529
O 0.347 0.546 0.528
O 0.848 0.548 0.527
O 0.416 0.297 0.524
O 0.917 0.297 0.524
O 0.262 0.694 0.978
O 0.764 0.695 0.979
O 0.080 0.467 0.970
O 0.579 0.466 0.971
O 0.149 0.834 0.976
O 0.646 0.833 0.975
O 0.263 0.831 0.481
O 0.762 0.829 0.480
O 0.148 0.459 0.477
O 0.648 0.460 0.477
O 0.079 0.693 0.472
O 0.580 0.692 0.472
O 0.061 0.634 0.362
O 0.559 0.632 0.362
O 0.246 0.868 0.361
O 0.751 0.883 0.359
O 0.182 0.504 0.356
O 0.684 0.495 0.356
O 0.063 0.489 0.860
O 0.561 0.487 0.860
O 0.185 0.875 0.855
O 0.679 0.856 0.854
O 0.252 0.619 0.857
O 0.748 0.620 0.860
O 0.016 0.824 0.415
O 0.515 0.824 0.416
O 0.407 0.971 0.413
O 0.908 0.972 0.413
O 0.081 0.180 0.412
O 0.580 0.178 0.413
O 0.016 0.207 0.914
O 0.515 0.205 0.914
O 0.080 0.982 0.912
O 0.579 0.979 0.911
O 0.408 0.845 0.913
O 0.908 0.843 0.912
O 0.490 0.162 0.589
O 0.991 0.163 0.589
O 0.094 0.014 0.591
O 0.595 0.016 0.592
O 0.416 0.804 0.589
O 0.915 0.801 0.590
O 0.490 0.818 0.089
O 0.994 0.819 0.088
O 0.416 0.030 0.090
O 0.925 0.025 0.092
O 0.099 0.179 0.092
O 0.593 0.171 0.092
O 0.345 0.175 0.745
O 0.845 0.176 0.742
O 0.246 0.321 0.740
O 0.746 0.316 0.737
O 0.419 0.537 0.743
O 0.919 0.533 0.741
O 0.345 0.514 0.243
O 0.845 0.512 0.244
O 0.418 0.304 0.242
O 0.921 0.307 0.246
O 0.244 0.175 0.237
O 0.744 0.172 0.245
O 0.323 0.494 0.922
O 0.824 0.491 0.924
O 0.434 0.358 0.922
O 0.936 0.363 0.920
O 0.257 0.152 0.925
O 0.754 0.149 0.920
O 0.323 0.151 0.422
O 0.824 0.153 0.423
O 0.257 0.364 0.424
O 0.757 0.362 0.426
O 0.434 0.510 0.425
O 0.934 0.510 0.424
O 0.181 0.496 0.077
O 0.674 0.488 0.076
O 0.083 0.646 0.076
O 0.578 0.643 0.076
O 0.257 0.869 0.080
O 0.750 0.849 0.079
O 0.178 0.862 0.576
O 0.679 0.864 0.577
O 0.257 0.648 0.580
O 0.757 0.645 0.580
O 0.080 0.515 0.576
O 0.581 0.515 0.576
O 0.149 0.815 0.258
O 0.649 0.816 0.256
O 0.255 0.679 0.254
O 0.757 0.683 0.252
O 0.078 0.467 0.256
O 0.575 0.462 0.252
O 0.150 0.483 0.755
O 0.650 0.486 0.758
O 0.075 0.689 0.751
O 0.576 0.690 0.753
O 0.257 0.828 0.752
O 0.755 0.831 0.754
```

Space group   P1
Raw total energy   -1546.9 eV for the cell shown
ΔE_f   -2.5224 eV/atom

---

Computed, not measured: crystalline Na2Hf4Si5Sn4S7O48 at its relaxed geometry at the PBE level of DFT. Values from VASP.

Structure (Quantum ESPRESSO input):
```
&SYSTEM
  ibrav = 0, nat = 210, ntyp = 6
/
ATOMIC_SPECIES
Na 22.99 Na.upf
Hf 178.49 Hf.upf
Si 28.09 Si.upf
Sn 118.71 Sn.upf
S 32.06 S.upf
O 16.00 O.upf
CELL_PARAMETERS angstrom
17.790 -0.017 0.061
-4.455 7.707 0.001
0.078 0.049 23.177
ATOMIC_POSITIONS crystal
Na 0.993 0.996 0.498
Na 0.492 0.989 0.992
Na 0.347 0.358 0.837
Na 0.835 0.345 0.829
Na 0.338 0.330 0.331
Na 0.839 0.335 0.343
Hf 0.499 0.004 0.358
Hf 0.998 0.993 0.858
Hf 0.502 0.993 0.648
Hf 0.002 0.000 0.144
Hf 0.339 0.355 0.688
Hf 0.833 0.323 0.184
Hf 0.168 0.655 0.016
Hf 0.658 0.662 0.026
Hf 0.158 0.655 0.529
Hf 0.668 0.683 0.517
Hf 0.661 0.662 0.313
Hf 0.163 0.660 0.812
Si 0.145 0.005 0.250
Si 0.502 0.288 0.249
Si 0.646 0.283 0.750
Si 0.002 0.715 0.749
Si 0.501 0.715 0.753
Si 0.973 0.316 0.587
Si 0.335 0.631 0.582
Si 0.473 0.628 0.087
Si 0.834 0.040 0.082
Si 0.314 0.669 0.913
Si 0.018 0.375 0.916
Si 0.523 0.369 0.918
Si 0.813 0.958 0.413
Si 0.022 0.666 0.418
Si 0.517 0.659 0.416
Sn 0.001 0.991 0.355
Sn 0.500 0.000 0.853
Sn 0.998 0.996 0.650
Sn 0.496 0.999 0.149
Sn 0.837 0.346 0.690
Sn 0.337 0.326 0.190
Sn 0.344 0.362 0.977
Sn 0.838 0.327 0.979
Sn 0.340 0.350 0.483
Sn 0.843 0.323 0.480
Sn 0.161 0.676 0.314
Sn 0.654 0.640 0.807
S 0.645 0.003 0.250
S 0.351 0.708 0.254
S 0.855 0.707 0.249
S 0.001 0.290 0.251
S 0.144 0.287 0.750
S 0.354 0.003 0.749
S 0.854 0.996 0.753
S 0.479 0.332 0.582
S 0.190 0.049 0.583
S 0.692 0.052 0.583
S 0.832 0.621 0.581
S 0.978 0.623 0.082
S 0.331 0.042 0.082
S 0.192 0.334 0.084
S 0.690 0.331 0.082
S 0.808 0.659 0.918
S 0.169 0.958 0.918
S 0.669 0.956 0.917
S 0.309 0.959 0.419
S 0.169 0.382 0.415
S 0.669 0.380 0.418
O 0.103 0.045 0.308
O 0.603 0.028 0.301
O 0.409 0.795 0.303
O 0.909 0.779 0.302
O 0.488 0.160 0.304
O 0.980 0.182 0.303
O 0.101 0.177 0.801
O 0.605 0.170 0.808
O 0.476 0.786 0.810
O 0.987 0.814 0.804
O 0.408 0.044 0.802
O 0.912 0.027 0.803
O 0.396 0.977 0.698
O 0.890 0.968 0.698
O 0.093 0.214 0.697
O 0.586 0.200 0.693
O 0.016 0.827 0.689
O 0.509 0.824 0.695
O 0.387 0.810 0.199
O 0.898 0.817 0.198
O 0.010 0.204 0.199
O 0.516 0.203 0.190
O 0.084 0.974 0.195
O 0.595 0.976 0.197
O 0.435 0.359 0.633
O 0.929 0.351 0.643
O 0.242 0.133 0.634
O 0.746 0.128 0.634
O 0.318 0.500 0.637
O 0.817 0.518 0.634
O 0.431 0.510 0.145
O 0.934 0.511 0.134
O 0.316 0.114 0.136
O 0.818 0.136 0.139
O 0.246 0.365 0.135
O 0.743 0.352 0.134
O 0.228 0.296 0.032
O 0.731 0.305 0.030
O 0.413 0.554 0.030
O 0.923 0.550 0.031
O 0.346 0.154 0.031
O 0.856 0.171 0.028
O 0.229 0.155 0.528
O 0.730 0.162 0.530
O 0.356 0.549 0.525
O 0.847 0.539 0.530
O 0.424 0.293 0.529
O 0.915 0.271 0.529
O 0.268 0.693 0.972
O 0.769 0.687 0.970
O 0.075 0.468 0.974
O 0.581 0.465 0.975
O 0.153 0.848 0.970
O 0.662 0.855 0.969
O 0.269 0.850 0.469
O 0.769 0.840 0.471
O 0.160 0.469 0.466
O 0.654 0.458 0.470
O 0.083 0.689 0.472
O 0.576 0.684 0.473
O 0.056 0.616 0.359
O 0.565 0.630 0.360
O 0.259 0.886 0.364
O 0.756 0.860 0.357
O 0.185 0.488 0.361
O 0.684 0.487 0.366
O 0.066 0.500 0.860
O 0.559 0.495 0.861
O 0.184 0.881 0.866
O 0.686 0.884 0.864
O 0.255 0.652 0.858
O 0.758 0.634 0.865
O 0.017 0.846 0.414
O 0.508 0.828 0.404
O 0.397 0.981 0.410
O 0.913 0.992 0.408
O 0.087 0.212 0.411
O 0.591 0.206 0.410
O 0.009 0.187 0.905
O 0.517 0.182 0.913
O 0.090 0.975 0.910
O 0.589 0.967 0.914
O 0.411 0.838 0.912
O 0.897 0.812 0.911
O 0.488 0.181 0.592
O 0.987 0.146 0.593
O 0.102 0.031 0.586
O 0.605 0.031 0.589
O 0.418 0.819 0.594
O 0.911 0.797 0.586
O 0.487 0.827 0.094
O 0.986 0.794 0.092
O 0.411 0.026 0.087
O 0.919 0.027 0.098
O 0.104 0.183 0.093
O 0.603 0.174 0.088
O 0.341 0.153 0.739
O 0.846 0.154 0.748
O 0.230 0.295 0.744
O 0.740 0.289 0.743
O 0.417 0.515 0.745
O 0.915 0.524 0.747
O 0.343 0.535 0.248
O 0.846 0.532 0.240
O 0.414 0.304 0.247
O 0.925 0.320 0.243
O 0.240 0.184 0.243
O 0.733 0.166 0.244
O 0.312 0.482 0.918
O 0.818 0.501 0.925
O 0.422 0.336 0.923
O 0.923 0.365 0.918
O 0.245 0.132 0.926
O 0.745 0.139 0.922
O 0.318 0.135 0.424
O 0.813 0.143 0.418
O 0.244 0.351 0.420
O 0.746 0.360 0.425
O 0.421 0.480 0.419
O 0.921 0.502 0.423
O 0.183 0.489 0.075
O 0.684 0.488 0.077
O 0.063 0.640 0.076
O 0.568 0.648 0.076
O 0.254 0.869 0.074
O 0.751 0.853 0.071
O 0.182 0.878 0.576
O 0.683 0.878 0.574
O 0.250 0.645 0.570
O 0.755 0.640 0.573
O 0.067 0.487 0.577
O 0.564 0.489 0.574
O 0.159 0.837 0.257
O 0.658 0.854 0.257
O 0.264 0.689 0.263
O 0.770 0.689 0.257
O 0.082 0.460 0.256
O 0.588 0.473 0.258
O 0.157 0.461 0.757
O 0.667 0.483 0.755
O 0.089 0.704 0.759
O 0.592 0.713 0.756
O 0.269 0.847 0.757
O 0.769 0.842 0.763
```

Space group   P1
Raw total energy   -1490.6 eV for the cell shown
ΔE_f   -2.5394 eV/atom

---

Computed, not measured: crystalline K3Nb at its relaxed geometry at the PBE level of DFT. Values from VASP.

Structure (Quantum ESPRESSO input):
```
&SYSTEM
  ibrav = 0, nat = 8, ntyp = 2
/
ATOMIC_SPECIES
K 39.10 K.upf
Nb 92.91 Nb.upf
CELL_PARAMETERS angstrom
4.146 -7.181 0.000
4.146 7.181 0.000
0.000 0.000 6.607
ATOMIC_POSITIONS crystal
K 0.177 0.354 0.250
K 0.646 0.823 0.250
K 0.177 0.823 0.250
K 0.823 0.646 0.750
K 0.354 0.177 0.750
K 0.823 0.177 0.750
Nb 0.333 0.667 0.750
Nb 0.667 0.333 0.250
```

Space group   P6_3/mmc
Raw total energy   -17.7 eV for the cell shown
Energy above the most stable polymorph in this dataset   2 meV per atom
ΔE_f   1.1412 eV/atom